Below is crystalline LaAs2Rh2 at its relaxed geometry, with properties calculated at the PBE level.

Lattice parameters (Å, degrees): 4.332 4.332 10.090 90.00 90.00 90.00
Element x y z (fractional)
1 Rh 0.500 0.500 0.000
2 Rh 0.500 0.000 0.380
3 Rh 0.000 0.000 0.000
4 Rh 0.000 0.500 0.620
5 La 0.000 0.500 0.254
6 La 0.500 0.000 0.746
7 As 0.000 0.500 0.863
8 As 0.500 0.500 0.500
9 As 0.500 0.000 0.137
10 As 0.000 0.000 0.500


Below is crystalline La2UAs3 at its relaxed geometry, with properties calculated at the PBE level.

Lattice parameters (Å, degrees): 7.439 7.439 7.439 146.73 131.98 59.67
Element x y z (fractional)
1 As 0.155 0.655 0.500
2 As 0.500 0.000 0.500
3 As 0.845 0.345 0.500
4 U 0.000 0.000 0.000
5 La 0.332 0.332 0.000
6 La 0.668 0.668 0.000

Properties
Size of the total moment   2.61 μB per formula unit


Below is crystalline La2ZnAs4 at its relaxed geometry, with properties calculated at the PBE level.

Lattice parameters (Å, degrees): 10.811 10.811 10.811 158.52 158.52 30.56
Element x y z (fractional)
1 Zn 0.250 0.750 0.500
2 As 0.499 0.999 0.500
3 As 0.324 0.324 0.000
4 As 0.001 0.501 0.500
5 As 0.676 0.676 0.000
6 La 0.879 0.879 0.000
7 La 0.121 0.121 0.000

Properties
Size of the total moment   0.00 μB per formula unit


Below is crystalline LaZn3As3 at its relaxed geometry, with properties calculated at the PBE level.

Lattice parameters (Å, degrees): 4.149 11.535 12.714 90.00 90.00 90.00
Element x y z (fractional)
1 As 0.750 0.240 0.152
2 As 0.250 0.384 0.921
3 As 0.250 0.740 0.348
4 As 0.250 0.567 0.640
5 As 0.250 0.933 0.140
6 As 0.250 0.116 0.421
7 As 0.750 0.884 0.579
8 As 0.250 0.760 0.848
9 As 0.750 0.067 0.860
10 As 0.750 0.616 0.079
11 As 0.750 0.433 0.360
12 As 0.750 0.260 0.652
13 Zn 0.250 0.344 0.728
14 Zn 0.250 0.156 0.228
15 Zn 0.750 0.265 0.954
16 Zn 0.250 0.765 0.546
17 Zn 0.250 0.962 0.935
18 Zn 0.750 0.656 0.272
19 Zn 0.250 0.735 0.046
20 Zn 0.750 0.235 0.454
21 Zn 0.250 0.538 0.435
22 Zn 0.750 0.462 0.565
23 Zn 0.750 0.844 0.772
24 Zn 0.750 0.038 0.065
25 La 0.250 0.446 0.165
26 La 0.750 0.946 0.335
27 La 0.750 0.554 0.835
28 La 0.250 0.054 0.665


Number 1: energy -6.7753 eV/atom. Number 2: energy -7.1186 eV/atom. Number 3: energy -5.1789 eV/atom. Number 4: energy -3.8270 eV/atom.